TePb2Se meta-GGA r2SCAN relaxed; energy of formation from the pure elements = -0.58 eV per atom; VASP energy = -38.654 eV per atom; magnetization = 0.000 μB per formula unit
1.0
7.449 -2.247 0.000
7.449 2.247 0.000
6.771 0.000 3.833
Pb Te Se
2 1 1
Cartesian
16.137 0.000 2.854
5.532 0.000 0.978
10.834 0.000 1.916
0.000 0.000 0.000